{
  "formula": "Rb2LiGdCl6",
  "functional": "PBE",
  "state": "optimized geometry",
  "lattice_angstrom": [[4.345, -3.786, -4.712], [3.072, -6.439, 2.126], [-2.390, -6.411, -2.932]],
  "species": ["Rb", "Rb", "Li", "Gd", "Cl", "Cl", "Cl", "Cl", "Cl", "Cl"],
  "fractional_positions": [[0.750, 0.750, 0.750], [0.250, 0.250, 0.250], [0.500, 0.500, 0.500], [0.000, 0.000, 0.000], [0.747, 0.253, 0.253], [0.253, 0.253, 0.747], [0.253, 0.747, 0.747], [0.253, 0.747, 0.253], [0.747, 0.253, 0.747], [0.747, 0.747, 0.253]],
  "dft_energy_ev_per_cell": -49.9,
  "ef_mev_per_atom": -2456
}